Entry 1:
A geometry-optimized V2CuP3O12 structure. Source: the Materials Project database, functional PBE+U. Values from VASP.

Structure (Quantum ESPRESSO input):
```
&SYSTEM
  ibrav = 0, nat = 36, ntyp = 4
/
ATOMIC_SPECIES
V 50.94 V.upf
Cu 63.55 Cu.upf
P 30.97 P.upf
O 16.00 O.upf
CELL_PARAMETERS angstrom
-8.614 0.270 0.373
-4.693 -1.572 -7.065
-4.593 -7.276 -0.620
ATOMIC_POSITIONS angstrom
V -2.546 -1.220 -1.040
V -6.404 -3.069 -2.616
V -11.496 -5.509 -4.696
V -15.354 -7.357 -6.271
Cu 0.000 0.000 0.000
Cu -8.950 -4.289 -3.656
P -5.977 -4.515 -5.569
P -7.595 -5.395 -0.576
P -8.803 -0.812 -2.995
P -9.097 -7.766 -4.317
P -10.305 -3.182 -6.736
P -11.923 -4.063 -1.743
O -4.804 -4.109 -2.402
O -5.540 -1.615 -3.525
O -6.040 -3.384 -6.624
O -6.313 -2.259 -0.877
O -6.667 -5.802 -6.054
O -6.754 -4.070 -4.307
O -6.803 -6.690 -0.878
O -7.568 -4.485 -1.827
O -8.041 -7.783 -3.198
O -8.156 -2.216 -3.048
O -8.471 -7.979 -5.716
O -8.819 -2.902 -7.019
O -9.081 -5.675 -0.293
O -9.429 -0.598 -1.596
O -9.744 -6.361 -4.264
O -9.859 -0.794 -4.114
O -10.332 -4.092 -5.485
O -11.097 -1.887 -6.434
O -11.146 -4.508 -3.005
O -11.233 -2.776 -1.258
O -11.587 -6.319 -6.434
O -11.860 -5.193 -0.688
O -12.360 -6.963 -3.786
O -13.096 -4.469 -4.910
```

Calculated values
* total energy after the MP2020 corrections: -7.889 eV per atom
* symmetry: R-3c, No. 167
* energy: -260.71 eV/cell
* DFT formation energy: -2451 meV per atom
* magnetic moment: 4.0 μB per cell



Entry 2:
A geometry-optimized V3CuP4O16 structure. Source: the Materials Project database, functional PBE+U. Values from VASP.

Structure (Quantum ESPRESSO input):
```
&SYSTEM
  ibrav = 0, nat = 24, ntyp = 4
/
ATOMIC_SPECIES
V 50.94 V.upf
Cu 63.55 Cu.upf
P 30.97 P.upf
O 16.00 O.upf
CELL_PARAMETERS angstrom
4.915 -0.063 0.000
-0.139 9.984 0.000
0.000 0.000 5.913
ATOMIC_POSITIONS angstrom
V 2.326 2.260 4.434
V 2.558 7.759 1.478
V 4.766 2.614 1.478
Cu 0.340 7.089 4.434
P 0.392 5.992 1.478
P 1.975 0.918 1.478
P 2.635 8.974 4.434
P 4.473 3.973 4.434
O 0.628 4.486 1.478
O 1.188 6.704 0.320
O 1.188 6.704 2.637
O 1.050 3.736 4.434
O 1.123 8.804 4.434
O 1.266 1.672 0.281
O 1.266 1.672 2.675
O 1.483 9.411 1.478
O 3.153 0.470 4.434
O 3.285 8.267 3.176
O 3.285 8.267 5.693
O 3.481 1.131 1.478
O 3.814 6.244 1.478
O 3.734 3.223 3.238
O 3.734 3.223 5.631
O 4.165 5.454 4.434
```

Calculated values
* total energy after the MP2020 corrections: -8.001 eV per atom
* symmetry: Pm, No. 6
* energy: -175.93 eV/cell
* DFT formation energy: -2494 meV per atom
* magnetic moment: 6.0 μB per cell



Entry 3:
A geometry-optimized V2CuP2O10 structure. Source: the Materials Project database, functional PBE+U. Values from VASP.

Structure (Quantum ESPRESSO input):
```
&SYSTEM
  ibrav = 0, nat = 120, ntyp = 4
/
ATOMIC_SPECIES
V 50.94 V.upf
Cu 63.55 Cu.upf
P 30.97 P.upf
O 16.00 O.upf
CELL_PARAMETERS angstrom
7.457 0.000 0.000
0.000 12.779 0.000
0.000 0.000 14.733
ATOMIC_POSITIONS angstrom
V 5.329 3.242 7.187
V 3.935 12.542 10.847
V 2.128 9.631 0.179
V 7.251 0.237 3.480
V 0.206 6.626 3.886
V 7.251 6.152 10.847
V 5.857 9.631 7.187
V 3.522 0.237 3.886
V 3.935 6.626 3.480
V 5.329 3.148 14.554
V 3.522 6.152 11.253
V 0.206 12.542 11.253
V 5.857 9.537 14.554
V 1.601 3.242 0.179
V 1.601 3.148 7.546
V 2.128 9.537 7.546
Cu 6.524 1.520 9.241
Cu 4.662 11.258 1.875
Cu 6.524 4.869 1.875
Cu 2.795 1.520 12.858
Cu 2.795 4.869 5.492
Cu 0.934 11.258 5.492
Cu 0.934 7.910 12.858
Cu 4.662 7.910 9.241
P 5.490 6.415 6.425
P 1.967 0.026 0.941
P 7.457 9.444 10.120
P 3.728 9.444 11.979
P 3.729 3.055 10.120
P 3.728 9.724 4.613
P 1.762 6.415 0.941
P 1.967 6.364 8.308
P 0.001 3.334 4.613
P 5.490 12.753 13.792
P 1.762 12.753 8.308
P 0.001 3.055 11.979
P 5.696 6.364 13.792
P 7.457 9.724 2.754
P 5.696 0.026 6.425
P 3.729 3.334 2.754
O 1.894 6.253 11.692
O 3.213 6.389 9.258
O 1.996 11.566 0.041
O 2.466 9.828 5.520
O 3.759 9.633 7.995
O 6.942 6.389 12.842
O 0.031 9.633 14.104
O 3.698 3.145 6.738
O 2.466 9.340 12.887
O 2.059 1.257 14.723
O 3.641 10.644 11.026
O 3.759 9.535 0.629
O 3.641 8.524 3.659
O 1.266 9.522 9.259
O 7.370 8.524 3.707
O 3.797 10.990 3.700
O 5.564 6.526 3.041
O 7.370 10.644 11.074
O 5.725 7.602 14.692
O 2.462 3.256 1.892
O 1.732 5.176 0.041
O 1.732 1.213 7.408
O 1.670 11.522 7.356
O 4.407 6.232 12.969
O 3.797 8.178 11.066
O 5.564 12.642 10.407
O 4.244 12.778 12.842
O 0.068 10.990 3.667
O 4.995 9.646 5.474
O 4.244 6.390 5.475
O 4.407 0.158 5.602
O 3.660 1.789 11.033
O 1.263 3.439 5.520
O 0.031 9.535 6.738
O 7.389 1.789 11.066
O 5.725 11.566 7.325
O 6.779 12.621 12.969
O 5.788 5.132 0.010
O 5.461 5.176 7.325
O 2.462 3.133 9.259
O 0.516 12.778 9.258
O 5.461 1.213 14.692
O 1.835 6.526 4.326
O 1.263 2.950 12.887
O 0.516 6.390 1.891
O 6.191 3.256 5.474
O 7.427 3.145 0.629
O 3.213 0.000 1.891
O 6.194 9.828 1.846
O 0.068 8.178 11.033
O 3.050 12.621 9.131
O 5.622 6.253 10.407
O 1.835 12.642 11.692
O 1.996 7.602 7.408
O 4.992 3.439 1.846
O 0.088 2.134 3.659
O 3.816 2.134 3.707
O 7.389 4.600 3.700
O 6.194 9.340 9.213
O 7.427 3.244 7.995
O 4.995 9.522 12.841
O 5.622 0.137 3.041
O 3.050 6.547 1.764
O 3.698 3.244 14.104
O 3.816 4.255 11.074
O 4.992 2.950 9.213
O 0.678 6.232 9.131
O 0.088 4.255 11.026
O 1.670 7.646 14.723
O 6.942 0.000 5.475
O 5.398 7.646 7.377
O 6.191 3.133 12.841
O 5.398 11.522 0.010
O 6.779 6.547 5.602
O 2.059 5.132 7.356
O 0.678 0.158 1.764
O 1.266 9.646 1.892
O 3.660 4.600 3.667
O 5.788 1.257 7.377
O 1.894 0.137 4.326
```

Calculated values
* total energy after the MP2020 corrections: -7.846 eV per atom
* symmetry: Pbca, No. 61
* energy: -859.41 eV/cell
* DFT formation energy: -2341 meV per atom
* magnetic moment: 8.9 μB per cell



Look up the energy of the first one.
-260.71 eV/cell